No. 1
Entry from the Materials Project: an optimized crystal structure of Co3Sn2 (PBE).

Geometry as POSCAR:
```
Co3Sn2
1.0
0.0000 -5.2471 0.0000
-7.0096 0.0000 0.0000
0.0000 0.0000 -8.1743
Co Sn
12 8
Cartesian
-4.0899 -3.9353 -3.0585
-1.6400 -0.0464 -7.1723
-2.9197 -1.3118 -5.1158
-0.5851 -3.9353 -1.0287
-5.1448 -2.5771 -5.0892
-1.6400 -2.5771 -7.1723
-5.3696 -2.6699 -1.0020
-6.4245 -1.3118 -7.1456
-1.8648 -5.2007 -3.0851
-1.8648 -2.6699 -3.0851
-5.3696 -5.2007 -1.0020
-5.1448 -0.0464 -5.0892
-2.7973 -3.9353 -5.2949
-3.9360 -1.3118 -7.4203
-0.7075 -1.3118 -1.2078
-0.4312 -1.3118 -4.8411
-3.0736 -3.9353 -0.7540
-6.5784 -3.9353 -3.3332
-6.3020 -3.9353 -6.9666
-4.2123 -1.3118 -2.8794
```

Output
The polymorph energy (0 for the lowest one) comes out at 0.0 meV per atom. The uncorrected energy is -5.887 eV per atom.

=====

No. 2
Entry from the Materials Project: an optimized crystal structure of Zr2SiNi3 (PBE).

Geometry as POSCAR:
```
Zr2SiNi3
1.0
2.5091 -4.3459 0.0000
2.5091 4.3459 0.0000
0.0000 0.0000 7.8290
Ni Si Zr
6 2 4
Cartesian
2.5091 -2.8920 1.9572
3.7591 -0.7269 1.9572
2.5091 2.8920 5.8717
1.2591 -0.7269 1.9572
1.2591 0.7269 5.8717
3.7591 0.7269 5.8717
0.0000 0.0000 0.0000
0.0000 0.0000 3.9145
2.5091 -1.4486 7.4029
2.5091 -1.4486 4.3406
2.5091 1.4486 0.4261
2.5091 1.4486 3.4884
```

Output
The uncorrected energy is -7.275 eV per atom.

=====

No. 3
Entry from the Materials Project: an optimized crystal structure of CsCaP3O9 (PBE).

Geometry as POSCAR:
```
CsCaP3O9
1.0
-4.9878 4.7960 -3.3624
-6.6125 -1.7424 7.3237
4.9118 9.8625 6.7812
O P Cs Ca
36 12 4 4
Cartesian
0.6026 6.5838 4.0963
-2.8609 8.2919 11.6706
-3.5462 4.6262 2.7841
1.5395 8.0801 8.4915
-3.8275 4.6242 -0.9281
2.8103 7.5302 6.2979
-6.1590 2.8466 3.6457
-1.0972 3.9391 2.8455
-7.3042 0.9046 4.8451
0.6158 12.0115 5.8974
-3.1423 8.2899 7.9584
-5.7376 3.6841 0.5645
-1.6447 11.1341 5.1192
-0.5295 10.0695 7.0968
-0.8036 6.0412 9.5350
-5.8849 6.8749 1.2075
-4.9684 6.9239 9.1948
-7.2911 6.3324 6.6462
-1.0163 13.5808 4.7972
-0.2563 4.4424 5.1960
-0.8068 6.6491 6.2802
0.4716 9.7789 4.7213
-7.1601 3.1372 6.0211
-5.5913 8.9770 7.8970
-9.4988 5.3860 4.4446
-2.8995 4.9345 10.5896
-1.7201 5.9923 1.5476
-3.7890 7.9816 0.1529
-1.8884 6.0117 4.0957
-5.6721 -0.6647 5.9453
-6.4322 8.4737 5.5465
-8.2280 4.8360 2.2510
-5.8817 6.2670 4.4623
-0.9508 9.2320 10.1780
-4.8001 6.9044 6.6468
-5.0438 1.7820 5.6233
-6.4667 2.2876 5.0057
-4.5317 7.7419 8.0129
-2.1567 5.1742 2.7296
-0.2218 10.6285 5.7368
-2.1767 12.5082 4.4190
-6.1871 6.8754 5.7831
-6.4866 9.6216 6.6951
-0.2018 3.2945 4.0474
-4.9228 3.6466 -0.6977
-1.7657 9.2695 11.4402
-0.5014 6.0407 4.9594
-4.5118 0.4079 6.3235
-5.0967 3.7384 8.4921
-3.4090 1.3596 2.5957
-1.5918 9.1777 2.2504
-3.2795 11.5565 8.1468
-5.8583 4.9638 2.5688
2.2270 8.3233 4.1679
-0.8301 7.9523 8.1737
-8.9154 4.5928 6.5746
```

Output
The uncorrected energy is -7.010 eV per atom.

=====

No. 4
Entry from the Materials Project: an optimized crystal structure of Na2PtO3 (PBE).

Geometry as POSCAR:
```
Na2PtO3
1.0
-4.6811 -2.9321 -0.1398
3.5496 -0.2569 -4.2266
4.6063 -9.2848 3.1991
Na O Pt
8 12 4
Cartesian
-2.8442 -5.0306 0.3197
4.3973 -11.4860 -0.4465
6.3190 -7.4433 -1.4869
0.7841 -7.2694 -1.3956
-0.9225 -0.9878 -0.7207
1.7748 -0.1285 -2.1133
2.6907 -5.2044 0.2283
-0.0374 -6.1085 1.5296
1.8392 -7.4911 0.6701
-1.6686 -3.1185 -0.1167
2.8087 -8.4611 -2.0636
5.1434 -9.3553 -1.0506
-1.0966 -4.3395 -2.8676
1.6356 -4.9827 -1.8374
4.5714 -8.1344 1.7003
0.9092 -2.4024 -1.6112
2.5656 -10.0714 0.4440
4.5160 -6.4994 -0.4444
0.6661 -4.0127 0.8963
-1.0413 -5.9745 -0.7229
2.6403 -3.2479 -2.4035
0.8345 -9.2259 1.2363
3.5747 -8.3353 -0.1243
-0.0999 -4.1386 -1.0430
```

Output
The uncorrected energy is -5.082 eV per atom.

=====

No. 5
Entry from the Materials Project: an optimized crystal structure of RbNaMg6O7 (PBE).

Geometry as POSCAR:
```
RbNaMg6O7
1.0
4.2442 0.0000 0.0000
0.0000 4.2442 0.0000
0.0000 0.0000 11.4071
Mg O Na Rb
6 7 1 1
Cartesian
2.1221 0.0000 2.4411
2.1221 2.1221 4.6067
2.1221 0.0000 9.5330
0.0000 2.1221 9.5330
2.1221 2.1221 0.0927
0.0000 2.1221 2.4411
0.0000 2.1221 4.4647
2.1221 0.0000 0.3049
0.0000 0.0000 9.1661
0.0000 0.0000 2.4087
2.1221 0.0000 4.4647
0.0000 2.1221 0.3049
2.1221 2.1221 9.4504
0.0000 0.0000 0.1969
0.0000 0.0000 6.1820
```

Output
The polymorph energy (0 for the lowest one) comes out at 44.7 meV per atom. The uncorrected energy is -5.002 eV per atom.

=====

No. 6
Entry from the Materials Project: an optimized crystal structure of Ba4P2O (PBE).

Geometry as POSCAR:
```
Ba4P2O
1.0
5.0212 5.2146 -5.4349
-7.5421 -4.8180 -1.3589
-4.2166 6.0596 1.9183
O P Ba
2 4 8
Cartesian
-3.3687 3.2281 -2.4377
0.0000 0.0000 0.0000
-7.8588 -0.5892 -0.9945
1.1213 7.0453 -3.8810
0.3240 1.6952 -3.8974
-7.0614 4.7610 -0.9781
-3.5392 4.8463 -0.3419
-1.1321 9.0696 -2.9266
-5.6053 -2.6134 -1.9488
-4.7996 5.0446 -3.7388
-0.8433 4.5868 -3.2955
-3.1983 1.6099 -4.5335
-1.9379 1.4116 -1.1366
-5.8941 1.8693 -1.5800
```

Output
The uncorrected energy is -4.760 eV per atom.

=====

No. 7
Entry from the Materials Project: an optimized crystal structure of ScSi2Ni2 (PBE).

Geometry as POSCAR:
```
ScSi2Ni2
1.0
-1.9015 1.9015 4.8191
1.9015 -1.9015 4.8191
1.9015 1.9015 -4.8191
Sc Si Ni
1 2 2
Cartesian
0.0000 0.0000 0.0000
0.0000 0.0000 3.6612
0.0000 0.0000 5.9771
1.9015 0.0000 2.4096
0.0000 1.9015 2.4096
```

Output
The uncorrected energy is -6.544 eV per atom.

=====

No. 8
Entry from the Materials Project: an optimized crystal structure of TbCeO4 (PBE).

Geometry as POSCAR:
```
TbCeO4
1.0
0.0000 5.4736 5.4736
5.4736 0.0000 5.4736
5.4736 5.4736 0.0000
Ce O Tb
4 16 4
Cartesian
6.8381 6.8381 9.5828
9.5828 9.5828 9.5828
6.8381 9.5828 6.8381
9.5828 6.8381 6.8381
5.4736 5.4736 5.4736
8.2120 5.4736 5.4736
2.7368 2.7368 2.7368
5.5419 8.2105 8.2105
8.2105 8.2105 5.5419
8.2105 8.2105 8.2105
5.4736 8.2120 5.4736
8.2105 8.2105 10.8790
0.0000 0.0000 0.0000
5.4736 5.4736 2.7353
8.2105 10.8790 8.2105
5.4736 2.7353 5.4736
2.7353 5.4736 5.4736
10.8790 8.2105 8.2105
8.2105 5.5419 8.2105
5.4736 5.4736 8.2120
4.0916 4.0916 4.0916
6.8556 4.0916 6.8556
4.0916 6.8556 6.8556
6.8556 6.8556 4.0916
```

Output
The uncorrected energy is -8.142 eV per atom.

=====

No. 9
Entry from the Materials Project: an optimized crystal structure of As3Pb5ClO9 (PBE).

Geometry as POSCAR:
```
As3Pb5ClO9
1.0
5.2983 -9.1770 0.0000
5.2983 9.1770 0.0000
0.0000 0.0000 7.1050
O As Pb Cl
18 6 10 2
Cartesian
6.5598 -4.2515 1.7762
2.4619 2.5333 3.9638
8.1348 -2.5333 3.1411
8.1348 -2.5333 0.4114
3.4248 -0.8654 3.1411
5.7003 -1.3703 1.7762
3.6349 -3.5552 1.7762
4.0368 4.2515 5.3287
2.4619 2.5333 6.6936
4.3354 -5.7783 0.4114
3.4248 -0.8654 0.4114
4.8964 1.3703 5.3287
7.1718 0.8654 6.6936
6.2613 5.7783 6.6936
7.1718 0.8654 3.9638
6.2613 5.7783 3.9638
6.9618 3.5552 5.3287
4.3354 -5.7783 3.1411
3.2603 -5.3714 1.7762
4.3148 -0.1378 1.7762
2.2767 3.6678 5.3287
7.3364 5.3714 5.3287
8.3199 -3.6678 1.7762
6.2819 0.1378 5.3287
5.2983 3.0590 3.6350
5.2983 3.0590 7.0225
2.6127 0.3878 5.3287
5.2983 -3.0590 0.0825
8.9544 2.0687 5.3287
4.3279 6.7204 5.3287
1.6422 -2.0687 1.7762
7.9840 -0.3878 1.7762
5.2983 -3.0590 3.4700
6.2688 -6.7204 1.7762
0.0000 0.0000 3.5525
0.0000 0.0000 0.0000
```

Output
The polymorph energy (0 for the lowest one) comes out at 0.0 meV per atom. The uncorrected energy is -5.638 eV per atom.

=====

No. 10
Entry from the Materials Project: an optimized crystal structure of Na2Cu3H8C8O16 (PBE).

Geometry as POSCAR:
```
Na2Cu3H8C8O16
1.0
7.8226 0.0000 0.0000
-1.0863 7.9057 0.0000
-2.9414 -3.9118 7.4582
Cu Na C O H
3 2 8 16 8
Cartesian
6.6805 -0.0329 0.6251
-2.8855 4.0269 6.8332
-2.0138 1.9970 3.7291
-0.0847 1.9652 7.3222
3.8796 2.0287 0.1361
2.9168 2.3646 5.7022
0.8782 1.6293 1.7560
4.0937 -1.8901 6.1108
4.1745 3.9740 2.3756
-0.2987 5.8840 1.3474
-0.3796 0.0199 5.0827
4.2136 -0.2406 2.6271
-0.4186 4.2345 4.8311
4.6568 2.7745 2.3423
1.6949 1.2976 0.8435
0.5081 -0.3638 5.8759
-0.8398 3.6168 3.7987
4.6348 0.3771 3.6595
-1.4588 6.3150 1.6077
5.2538 -2.3211 5.8505
0.5501 6.3425 0.5175
4.1040 2.7731 5.5323
-0.8530 4.1857 6.0151
2.1001 2.6963 6.6148
3.2449 -2.3486 6.9407
4.6479 -0.1918 1.4431
-0.8618 1.2194 5.1159
-0.3091 1.2208 1.9259
3.2869 4.3577 1.5823
0.4531 4.8993 4.6409
4.5873 4.6624 3.1388
3.3419 -0.9054 2.8174
3.7876 -0.9938 5.5359
2.5533 1.6228 4.9682
-0.7923 -0.6685 4.3194
1.2417 2.3711 2.4900
0.0074 4.9878 1.9224
```

Output
The polymorph energy (0 for the lowest one) comes out at 0.0 meV per atom. The uncorrected energy is -6.208 eV per atom.

=====

No. 11
Entry from the Materials Project: an optimized crystal structure of Ce2Ga9Ir3 (PBE).

Geometry as POSCAR:
```
Ce2Ga9Ir3
1.0
5.4977 4.4984 2.9455
-7.1966 2.6453 -0.5892
-1.9319 -3.3224 8.6798
Ir Ga Ce
6 18 4
Cartesian
-3.0275 3.2539 0.5717
-3.9934 1.5927 4.9116
-0.9660 -1.6612 4.3399
0.0000 0.0000 0.0000
0.3626 2.2286 6.1245
1.3286 3.8898 1.7846
-2.3750 -0.7241 8.9089
-1.6572 0.5102 5.6841
-5.3079 2.5785 9.3644
-1.0970 1.6874 8.1879
-2.5528 0.6254 0.4938
-1.2558 4.5454 2.1272
-4.6482 3.7131 6.4001
1.0174 0.1082 4.6360
-2.9286 3.7300 8.5621
-0.4182 4.3306 7.5780
-1.9736 3.3110 5.3520
1.6771 1.2428 1.6717
-2.5338 2.1339 2.8482
-1.0780 3.1959 10.5423
-3.2126 -0.5093 3.4581
-0.7022 0.0913 2.4740
0.0675 2.5136 3.5725
-3.6983 1.3077 7.4636
-3.8210 -1.6017 6.3226
-3.9856 4.8135 3.5507
0.1902 5.4230 4.7135
0.3548 -0.9922 7.4854
```

Output
The uncorrected energy is -5.361 eV per atom.

=====

No. 12
Entry from the Materials Project: an optimized crystal structure of HPbBrO (PBE).

Geometry as POSCAR:
```
HPbBrO
1.0
-0.8435 3.5506 -1.9728
-6.7224 0.2515 3.3267
4.0240 5.2533 7.7345
Br O Pb H
4 4 4 4
Cartesian
-3.6356 3.7472 1.7556
-3.8320 4.6969 7.9108
0.2902 4.3585 1.1775
0.0938 5.3083 7.3327
2.4146 7.7456 6.3653
-0.8919 3.4078 4.3338
-5.9565 1.3098 2.7231
-2.6500 5.6476 4.7546
-1.1870 1.3791 0.8086
-3.2137 3.2470 5.0369
-2.3549 7.6763 8.2797
-0.3281 5.8084 4.0514
-5.1163 1.6882 3.0449
-0.6621 2.9894 3.4824
-2.8797 6.0661 5.6059
1.5744 7.3672 6.0434
```

Output
The uncorrected energy is -4.488 eV per atom.

=====

No. 13
Entry from the Materials Project: an optimized crystal structure of CaAl2SiO6 (PBE).

Geometry as POSCAR:
```
CaAl2SiO6
1.0
4.3607 4.8605 0.0000
-4.3607 4.8605 0.0000
0.0000 1.4787 5.1282
O Si Al Ca
12 2 4 2
Cartesian
2.2999 7.0243 2.8400
-2.3569 4.9884 4.7622
0.2131 6.6354 1.2122
-0.1221 7.3260 3.7106
-2.3569 6.2114 0.3660
2.2999 4.1754 2.2882
0.7171 9.1853 1.9566
-0.7190 1.1324 0.7054
-0.7190 10.0674 4.4228
0.2131 4.5644 3.9160
-0.1221 3.8738 1.4176
0.7171 2.0144 3.1716
0.8340 7.5862 2.3903
0.8340 3.6136 2.7379
-3.5695 4.8605 0.0000
-0.8627 8.3725 4.9304
-0.8627 2.8273 0.1978
3.5663 5.5999 2.5641
1.6459 4.8605 0.0000
-1.6494 5.5999 2.5641
```

Output
The polymorph energy (0 for the lowest one) comes out at 0.0 meV per atom. The uncorrected energy is -7.477 eV per atom.

=====

No. 14
Entry from the Materials Project: an optimized crystal structure of SnC2N6F6 (PBE).

Geometry as POSCAR:
```
SnC2N6F6
1.0
-1.9679 -1.7372 -5.8363
4.2001 4.7042 -2.8164
2.5761 -5.3515 3.3719
N F C Sn
6 6 2 1
Cartesian
2.7991 1.8168 -4.1314
2.9964 1.2469 -7.5150
0.2203 -1.8624 -5.6535
3.6818 -0.0672 -3.0903
4.6888 -2.2718 -5.2708
1.3750 0.2217 -3.1764
1.7765 -4.2368 -0.8946
2.3276 -2.7305 -4.5823
0.5954 -4.6707 -3.4208
3.5286 -2.2744 -2.0695
0.8212 0.4294 -6.5269
0.7440 -2.0350 -2.2894
2.6126 0.6594 -3.4712
-1.0192 -2.3168 -5.3897
2.0635 -3.4807 -2.7363
```

Output
The uncorrected energy is -5.216 eV per atom.

=====

| no. | calculated formation energy (kJ/mol of formula units) |
| --- | --- |
| 1 | -8.6 |
| 2 | -365.5 |
| 3 | -3922.0 |
| 4 | -867.7 |
| 5 | -3213.4 |
| 6 | -1018.8 |
| 7 | -383.7 |
| 8 | -2049.7 |
| 9 | -2773.1 |
| 10 | -4399.7 |
| 11 | -908.5 |
| 12 | -477.6 |
| 13 | -3307.7 |
| 14 | 286.1 |